Here is a geometry-optimized NbGeAs structure from the Materials Project database. Energies are from GGA-PBE.

The structure in POSCAR format:
```
NbGeAs
1.0
-2.846 -0.875 -2.028
-1.579 -1.506 2.866
-3.434 7.011 1.793
Nb Ge As
2 2 2
Direct
0.000 0.500 0.740 Nb
0.500 0.000 0.260 Nb
0.000 0.000 0.000 Ge
0.500 0.500 0.000 Ge
0.000 0.500 0.390 As
0.500 0.000 0.610 As
```

## Properties
Its energy of formation from the pure elements is -0.4444 eV/atom.

---

Here is a geometry-optimized Cr6BC3 structure from the Materials Project database. Energies are from GGA-PBE.

The structure in POSCAR format:
```
Cr6BC3
1.0
-4.151 -1.641 -1.819
3.283 -0.488 3.495
-3.507 4.521 3.925
Cr B C
6 1 3
Direct
0.854 0.146 0.185 Cr
0.138 0.862 0.316 Cr
0.854 0.146 0.815 Cr
0.138 0.862 0.684 Cr
0.603 0.397 0.000 Cr
0.416 0.584 0.500 Cr
0.755 0.245 0.500 B
0.497 0.503 0.242 C
0.497 0.503 0.758 C
0.247 0.753 0.000 C
```

## Properties
Its energy of formation from the pure elements is -0.1522 eV/atom.

---

Here is a geometry-optimized K3TlAu5 structure from the Materials Project database. Energies are from GGA-PBE.

The structure in POSCAR format:
```
K3TlAu5
1.0
-2.888 4.292 10.079
2.888 -4.292 10.079
2.888 4.292 -10.079
K Tl Au
6 2 10
Direct
0.795 0.414 0.381 K
0.533 0.914 0.619 K
0.131 0.750 0.381 K
0.869 0.250 0.619 K
0.467 0.086 0.381 K
0.205 0.586 0.619 K
0.416 0.250 0.166 Tl
0.584 0.750 0.834 Tl
0.500 0.500 0.000 Au
0.000 0.000 0.000 Au
0.190 0.190 0.500 Au
0.190 0.690 0.000 Au
0.313 0.356 0.957 Au
0.899 0.856 0.043 Au
0.101 0.144 0.957 Au
0.687 0.644 0.043 Au
0.810 0.310 0.000 Au
0.810 0.810 0.500 Au
```

## Properties
Its energy of formation from the pure elements is -0.2954 eV/atom.

---

Here is a geometry-optimized Mg3Si2 structure from the Materials Project database. Energies are from GGA-PBE.

The structure in POSCAR format:
```
Mg3Si2
1.0
5.262 0.000 0.000
-1.657 5.293 0.000
-1.219 -0.936 7.046
Mg Si
6 4
Direct
0.444 0.265 0.092 Mg
0.556 0.735 0.908 Mg
0.099 0.688 0.177 Mg
0.901 0.312 0.823 Mg
0.697 0.790 0.454 Mg
0.303 0.210 0.546 Mg
0.797 0.319 0.438 Si
0.203 0.681 0.562 Si
0.923 0.120 0.177 Si
0.077 0.880 0.823 Si
```

## Properties
Its energy of formation from the pure elements is 0.0278 eV/atom. Its MP2020-corrected energy is -3.10 eV/atom.

---

Here is a geometry-optimized ThSiTe structure from the Materials Project database. Energies are from GGA-PBE.

The structure in POSCAR format:
```
ThSiTe
1.0
5.921 3.157 7.081
5.413 7.479 3.151
-7.978 -4.261 -3.655
Th Si Te
2 2 2
Direct
0.880 0.880 0.000 Th
0.120 0.120 0.000 Th
0.000 0.500 0.500 Si
0.500 0.000 0.500 Si
0.689 0.689 0.000 Te
0.311 0.311 0.000 Te
```

## Properties
Its energy of formation from the pure elements is -1.0371 eV/atom. Its MP2020-corrected energy is -6.36 eV/atom.

---

Here is a geometry-optimized SbTeO3 structure from the Materials Project database. Energies are from GGA-PBE.

The structure in POSCAR format:
```
SbTeO3
1.0
-0.301 3.527 2.210
-3.650 -1.288 1.559
2.000 -1.821 3.178
Sb Te O
1 1 3
Direct
0.000 0.000 0.000 Sb
0.500 0.500 0.500 Te
0.000 0.000 0.500 O
0.000 0.500 0.000 O
0.500 0.000 0.000 O
```

## Properties
Its energy of formation from the pure elements is -0.8538 eV/atom. Its MP2020-corrected energy is -5.28 eV/atom.

---

Which of these has the lowest energy of formation from the pure elements? ThSiTe

---

Please write out number 5 again, unchanged.
Here is a geometry-optimized ThSiTe structure from the Materials Project database. Energies are from GGA-PBE.

The structure in POSCAR format:
```
ThSiTe
1.0
5.921 3.157 7.081
5.413 7.479 3.151
-7.978 -4.261 -3.655
Th Si Te
2 2 2
Direct
0.880 0.880 0.000 Th
0.120 0.120 0.000 Th
0.000 0.500 0.500 Si
0.500 0.000 0.500 Si
0.689 0.689 0.000 Te
0.311 0.311 0.000 Te
```

## Properties
Its energy of formation from the pure elements is -1.0371 eV/atom. Its MP2020-corrected energy is -6.36 eV/atom.